VASP calculation (PBE) on a geometry-optimized NaGaH8N4 structure.

Cell: 7.7213 6.3782 17.0269 Å, 90.00 93.25 90.00°
Closest atoms and distances in Å follow each position.
Atoms (fractional coordinates):
Na (0.1804, 0.0720, 0.3058)  2 N 2.28-2.37
Na (0.1804, 0.4280, 0.8058)  2 N 2.28-2.37
Na (0.8196, 0.5720, 0.1942)  2 N 2.28-2.37
Na (0.8196, 0.9280, 0.6942)  2 N 2.28-2.37
Ga (0.2734, 0.7196, 0.1905)  2 N 1.81-1.82
Ga (0.2734, 0.7804, 0.6905)  2 N 1.81-1.82
Ga (0.7266, 0.2196, 0.3095)  2 N 1.81-1.82
Ga (0.7266, 0.2804, 0.8095)  2 N 1.81-1.82
H (0.0200, 0.7098, 0.5170)  1 N 1.06
H (0.0200, 0.7902, 0.0170)  1 N 1.06
H (0.0340, 0.6564, 0.6327)  1 N 1.04
H (0.0340, 0.8436, 0.1327)  1 N 1.04
H (0.4101, 0.5588, 0.5677)  1 N 1.02
H (0.4101, 0.9412, 0.0677)  1 N 1.02
H (0.4265, 0.7391, 0.3137)  1 N 1.03
H (0.4265, 0.7609, 0.8137)  1 N 1.03
H (0.4415, 0.1742, 0.8731)  1 N 1.02
H (0.4415, 0.3258, 0.3731)  1 N 1.02
H (0.4488, 0.2119, 0.5717)  1 H 0.75
H (0.4488, 0.2881, 0.0717)  1 H 0.75
H (0.4553, 0.7337, 0.9248)  1 H 0.75
H (0.4553, 0.7663, 0.4248)  1 H 0.75
H (0.4730, 0.7013, 0.0469)  1 N 1.02
H (0.4730, 0.7987, 0.5469)  1 N 1.02
H (0.5270, 0.2013, 0.4531)  1 N 1.02
H (0.5270, 0.2987, 0.9531)  1 N 1.02
H (0.5447, 0.2337, 0.5752)  1 H 0.75
H (0.5447, 0.2663, 0.0752)  1 H 0.75
H (0.5512, 0.7119, 0.9283)  1 H 0.75
H (0.5512, 0.7881, 0.4283)  1 H 0.75
H (0.5585, 0.6742, 0.6269)  1 N 1.02
H (0.5585, 0.8258, 0.1269)  1 N 1.02
H (0.5735, 0.2391, 0.1863)  1 N 1.03
H (0.5735, 0.2609, 0.6863)  1 N 1.03
H (0.5899, 0.0588, 0.9323)  1 N 1.02
H (0.5899, 0.4412, 0.4323)  1 N 1.02
H (0.9660, 0.1564, 0.8673)  1 N 1.04
H (0.9660, 0.3436, 0.3673)  1 N 1.04
H (0.9800, 0.2098, 0.9830)  1 N 1.06
H (0.9800, 0.2902, 0.4830)  1 N 1.06
N (0.0167, 0.0818, 0.0197)  1 H 1.06
N (0.0167, 0.4182, 0.5197)  1 H 1.06
N (0.0641, 0.6845, 0.1380)  1 H 1.04
N (0.0641, 0.8155, 0.6380)  1 H 1.04
N (0.4044, 0.6560, 0.7685)  1 H 1.03
N (0.4044, 0.8440, 0.2685)  1 H 1.03
N (0.4487, 0.6991, 0.5919)  3 H 1.02
N (0.4487, 0.8009, 0.0919)  3 H 1.02
N (0.5513, 0.1991, 0.9081)  3 H 1.02
N (0.5513, 0.3009, 0.4081)  3 H 1.02
N (0.5956, 0.1560, 0.7315)  1 H 1.03
N (0.5956, 0.3440, 0.2315)  1 H 1.03
N (0.9359, 0.1845, 0.3620)  1 H 1.04
N (0.9359, 0.3155, 0.8620)  1 H 1.04
N (0.9833, 0.5818, 0.4803)  1 H 1.06
N (0.9833, 0.9182, 0.9803)  1 H 1.06

Properties
As for the final energy: -258.07 eV for the cell shown. The energy relative to the elements comes out at -1.124 eV per formula unit. Its energy above the most stable polymorph in this dataset is 376.1 meV per atom.



VASP calculation (PBE) on a geometry-optimized LaB3H12 structure.

Cell: 11.4761 11.4761 11.4761 Å, 90.00 90.00 90.00°
Closest atoms and distances in Å follow each position.
Atoms (fractional coordinates):
La (0.2189, 0.2189, 0.2189)  12 H 2.44-2.47
La (0.2189, 0.2811, 0.7189)  12 H 2.44-2.47
La (0.2811, 0.7189, 0.2189)  12 H 2.44-2.47
La (0.2811, 0.7811, 0.7189)  12 H 2.44-2.47
La (0.7189, 0.2189, 0.2811)  12 H 2.44-2.47
La (0.7189, 0.2811, 0.7811)  12 H 2.44-2.47
La (0.7811, 0.7189, 0.2811)  12 H 2.44-2.47
La (0.7811, 0.7811, 0.7811)  12 H 2.44-2.47
B (0.0318, 0.6908, 0.2538)  4 H 1.23
B (0.0318, 0.8092, 0.7538)  4 H 1.23
B (0.1908, 0.2462, 0.9682)  4 H 1.23
B (0.1908, 0.2538, 0.4682)  4 H 1.23
B (0.2462, 0.5318, 0.6908)  4 H 1.23
B (0.2462, 0.9682, 0.1908)  4 H 1.23
B (0.2538, 0.0318, 0.6908)  4 H 1.23
B (0.2538, 0.4682, 0.1908)  4 H 1.23
B (0.3092, 0.7462, 0.9682)  4 H 1.23
B (0.3092, 0.7538, 0.4682)  4 H 1.23
B (0.4682, 0.1908, 0.2538)  4 H 1.23
B (0.4682, 0.3092, 0.7538)  4 H 1.23
B (0.5318, 0.6908, 0.2462)  4 H 1.23
B (0.5318, 0.8092, 0.7462)  4 H 1.23
B (0.6908, 0.2462, 0.5318)  4 H 1.23
B (0.6908, 0.2538, 0.0318)  4 H 1.23
B (0.7462, 0.5318, 0.8092)  4 H 1.23
B (0.7462, 0.9682, 0.3092)  4 H 1.23
B (0.7538, 0.0318, 0.8092)  4 H 1.23
B (0.7538, 0.4682, 0.3092)  4 H 1.23
B (0.8092, 0.7462, 0.5318)  4 H 1.23
B (0.8092, 0.7538, 0.0318)  4 H 1.23
B (0.9682, 0.1908, 0.2462)  4 H 1.23
B (0.9682, 0.3092, 0.7462)  4 H 1.23
H (0.0189, 0.2147, 0.7503)  1 B 1.23
H (0.0189, 0.2853, 0.2503)  1 B 1.23
H (0.0343, 0.1082, 0.2282)  1 B 1.23
H (0.0343, 0.3918, 0.7282)  1 B 1.23
H (0.0790, 0.6744, 0.1589)  1 B 1.23
H (0.0790, 0.8256, 0.6589)  1 B 1.23
H (0.1018, 0.6943, 0.3350)  1 B 1.23
H (0.1018, 0.8057, 0.8350)  1 B 1.23
H (0.1082, 0.2282, 0.0343)  1 B 1.23
H (0.1082, 0.2718, 0.5343)  1 B 1.23
H (0.1589, 0.0790, 0.6744)  1 B 1.23
H (0.1589, 0.4210, 0.1744)  1 B 1.23
H (0.1650, 0.6018, 0.6943)  1 B 1.23
H (0.1650, 0.8982, 0.1943)  1 B 1.23
H (0.1744, 0.1589, 0.4210)  1 B 1.23
H (0.1744, 0.3411, 0.9210)  1 B 1.23
H (0.1943, 0.1650, 0.8982)  1 B 1.23
H (0.1943, 0.3350, 0.3982)  1 B 1.23
H (0.2147, 0.7503, 0.0189)  1 B 1.23
H (0.2147, 0.7497, 0.5189)  1 B 1.23
H (0.2282, 0.0343, 0.1082)  1 B 1.23
H (0.2282, 0.4657, 0.6082)  1 B 1.23
H (0.2503, 0.0189, 0.2853)  1 B 1.23
H (0.2503, 0.4811, 0.7853)  1 B 1.23
H (0.2497, 0.5189, 0.2853)  1 B 1.23
H (0.2497, 0.9811, 0.7853)  1 B 1.23
H (0.2718, 0.5343, 0.1082)  1 B 1.23
H (0.2718, 0.9657, 0.6082)  1 B 1.23
H (0.2853, 0.2503, 0.0189)  1 B 1.23
H (0.2853, 0.2497, 0.5189)  1 B 1.23
H (0.3057, 0.6650, 0.8982)  1 B 1.23
H (0.3057, 0.8350, 0.3982)  1 B 1.23
H (0.3256, 0.6589, 0.4210)  1 B 1.23
H (0.3256, 0.8411, 0.9210)  1 B 1.23
H (0.3350, 0.1018, 0.6943)  1 B 1.23
H (0.3350, 0.3982, 0.1943)  1 B 1.23
H (0.3411, 0.5790, 0.6744)  1 B 1.23
H (0.3411, 0.9210, 0.1744)  1 B 1.23
H (0.3918, 0.7282, 0.0343)  1 B 1.23
H (0.3918, 0.7718, 0.5343)  1 B 1.23
H (0.3982, 0.1943, 0.3350)  1 B 1.23
H (0.3982, 0.3057, 0.8350)  1 B 1.23
H (0.4210, 0.1744, 0.1589)  1 B 1.23
H (0.4210, 0.3256, 0.6589)  1 B 1.23
H (0.4657, 0.6082, 0.2282)  1 B 1.23
H (0.4657, 0.8918, 0.7282)  1 B 1.23
H (0.4811, 0.7147, 0.7503)  1 B 1.23
H (0.4811, 0.7853, 0.2503)  1 B 1.23
H (0.5189, 0.2147, 0.7497)  1 B 1.23
H (0.5189, 0.2853, 0.2497)  1 B 1.23
H (0.5343, 0.1082, 0.2718)  1 B 1.23
H (0.5343, 0.3918, 0.7718)  1 B 1.23
H (0.5790, 0.6744, 0.3411)  1 B 1.23
H (0.5790, 0.8256, 0.8411)  1 B 1.23
H (0.6018, 0.6943, 0.1650)  1 B 1.23
H (0.6018, 0.8057, 0.6650)  1 B 1.23
H (0.6082, 0.2282, 0.4657)  1 B 1.23
H (0.6082, 0.2718, 0.9657)  1 B 1.23
H (0.6589, 0.0790, 0.8256)  1 B 1.23
H (0.6589, 0.4210, 0.3256)  1 B 1.23
H (0.6650, 0.6018, 0.8057)  1 B 1.23
H (0.6650, 0.8982, 0.3057)  1 B 1.23
H (0.6744, 0.1589, 0.0790)  1 B 1.23
H (0.6744, 0.3411, 0.5790)  1 B 1.23
H (0.6943, 0.1650, 0.6018)  1 B 1.23
H (0.6943, 0.3350, 0.1018)  1 B 1.23
H (0.7147, 0.7503, 0.4811)  1 B 1.23
H (0.7147, 0.7497, 0.9811)  1 B 1.23
H (0.7282, 0.0343, 0.3918)  1 B 1.23
H (0.7282, 0.4657, 0.8918)  1 B 1.23
H (0.7503, 0.0189, 0.2147)  1 B 1.23
H (0.7503, 0.4811, 0.7147)  1 B 1.23
H (0.7497, 0.5189, 0.2147)  1 B 1.23
H (0.7497, 0.9811, 0.7147)  1 B 1.23
H (0.7718, 0.5343, 0.3918)  1 B 1.23
H (0.7718, 0.9657, 0.8918)  1 B 1.23
H (0.7853, 0.2503, 0.4811)  1 B 1.23
H (0.7853, 0.2497, 0.9811)  1 B 1.23
H (0.8057, 0.6650, 0.6018)  1 B 1.23
H (0.8057, 0.8350, 0.1018)  1 B 1.23
H (0.8256, 0.6589, 0.0790)  1 B 1.23
H (0.8256, 0.8411, 0.5790)  1 B 1.23
H (0.8350, 0.1018, 0.8057)  1 B 1.23
H (0.8350, 0.3982, 0.3057)  1 B 1.23
H (0.8411, 0.5790, 0.8256)  1 B 1.23
H (0.8411, 0.9210, 0.3256)  1 B 1.23
H (0.8918, 0.7282, 0.4657)  1 B 1.23
H (0.8918, 0.7718, 0.9657)  1 B 1.23
H (0.8982, 0.1943, 0.1650)  1 B 1.23
H (0.8982, 0.3057, 0.6650)  1 B 1.23
H (0.9210, 0.1744, 0.3411)  1 B 1.23
H (0.9210, 0.3256, 0.8411)  1 B 1.23
H (0.9657, 0.6082, 0.2718)  1 B 1.23
H (0.9657, 0.8918, 0.7718)  1 B 1.23
H (0.9811, 0.7147, 0.7497)  1 B 1.23
H (0.9811, 0.7853, 0.2497)  1 B 1.23

Properties
As for the final energy: -564.07 eV for the cell shown. The energy relative to the elements comes out at -6.970 eV per formula unit.



VASP calculation (PBE) on a geometry-optimized Na4CaSiSnP2O12 structure.

Cell: 9.3367 9.3367 22.4406 Å, 90.35 90.35 60.02°
Closest atoms and distances in Å follow each position.
Atoms (fractional coordinates):
Na (0.1305, 0.8695, 0.5000)  3 O 2.32-2.60
Na (0.1353, 0.4876, 0.9923)  3 O 2.37-2.51
Na (0.1507, 0.7952, 0.8290)  3 O 2.36-2.62
Na (0.1522, 0.1604, 0.5811)  6 O 2.45-2.70
Na (0.1552, 0.5247, 0.3302)  3 O 2.37-2.55
Na (0.1604, 0.1522, 0.0811)  6 O 2.45-2.70
Na (0.1964, 0.8217, 0.1591)  3 O 2.35-2.53
Na (0.1980, 0.4772, 0.6690)  4 O 2.43-2.64
Na (0.4658, 0.8176, 0.6649)  3 O 2.32-2.57
Na (0.4758, 0.8646, 0.0004)  4 O 2.43-2.61
Na (0.4772, 0.1980, 0.1690)  4 O 2.43-2.64
Na (0.4835, 0.5037, 0.7476)  6 O 2.46-2.71
Na (0.4876, 0.1353, 0.4923)  3 O 2.37-2.51
Na (0.5037, 0.4835, 0.2476)  6 O 2.46-2.71
Na (0.5247, 0.1552, 0.8302)  3 O 2.37-2.55
Na (0.5325, 0.8098, 0.3336)  4 O 2.45-2.62
Na (0.7952, 0.1507, 0.3290)  3 O 2.36-2.62
Na (0.8098, 0.5325, 0.8336)  4 O 2.45-2.62
Na (0.8176, 0.4658, 0.1649)  3 O 2.32-2.57
Na (0.8185, 0.8405, 0.4143)  6 O 2.44-2.72
Na (0.8217, 0.1964, 0.6591)  3 O 2.35-2.53
Na (0.8405, 0.8185, 0.9143)  6 O 2.44-2.72
Na (0.8646, 0.4758, 0.5004)  4 O 2.43-2.61
Na (0.8695, 0.1305, 0.0000)  3 O 2.32-2.60
Ca (0.1611, 0.1607, 0.4337)  6 O 2.15-2.32
Ca (0.1607, 0.1611, 0.9337)  6 O 2.15-2.32
Ca (0.4937, 0.4954, 0.1003)  6 O 2.15-2.31
Ca (0.4954, 0.4937, 0.6003)  6 O 2.15-2.31
Ca (0.8289, 0.8318, 0.2672)  6 O 2.14-2.33
Ca (0.8318, 0.8289, 0.7672)  6 O 2.14-2.33
Si (0.1283, 0.8375, 0.6711)  4 O 1.59-1.70
Si (0.1696, 0.4587, 0.8369)  4 O 1.59-1.71
Si (0.1876, 0.7938, 0.0038)  4 O 1.59-1.70
Si (0.4587, 0.1696, 0.3369)  4 O 1.59-1.71
Si (0.7938, 0.1876, 0.5038)  4 O 1.59-1.70
Si (0.8375, 0.1283, 0.1711)  4 O 1.59-1.70
Sn (0.1608, 0.1633, 0.7351)  6 O 2.03-2.20
Sn (0.1633, 0.1608, 0.2351)  6 O 2.03-2.20
Sn (0.4882, 0.4972, 0.9017)  6 O 2.03-2.18
Sn (0.4972, 0.4882, 0.4017)  6 O 2.03-2.18
Sn (0.8304, 0.8337, 0.5684)  6 O 2.05-2.19
Sn (0.8337, 0.8304, 0.0684)  6 O 2.05-2.19
P (0.1223, 0.5218, 0.1689)  4 O 1.50-1.60
P (0.1761, 0.8527, 0.3359)  4 O 1.51-1.59
P (0.1876, 0.5070, 0.5022)  4 O 1.51-1.60
P (0.4575, 0.8558, 0.8358)  4 O 1.51-1.60
P (0.5070, 0.1876, 0.0022)  4 O 1.51-1.60
P (0.5070, 0.7871, 0.5024)  4 O 1.51-1.60
P (0.5218, 0.1223, 0.6689)  4 O 1.50-1.60
P (0.5264, 0.8383, 0.1683)  4 O 1.50-1.60
P (0.7871, 0.5070, 0.0024)  4 O 1.51-1.60
P (0.8383, 0.5264, 0.6683)  4 O 1.50-1.60
P (0.8527, 0.1761, 0.8359)  4 O 1.51-1.59
P (0.8558, 0.4575, 0.3358)  4 O 1.51-1.60
O (0.0049, 0.8697, 0.6107)  1 Si 1.70
O (0.0059, 0.3543, 0.6701)  1 P 1.59
O (0.0060, 0.7948, 0.0039)  1 Si 1.69
O (0.0076, 0.6080, 0.1122)  1 P 1.60
O (0.0114, 0.6431, 0.8327)  1 Si 1.62
O (0.0122, 0.6708, 0.5042)  1 P 1.59
O (0.0177, 0.1311, 0.1729)  1 Si 1.70
O (0.0343, 0.8166, 0.3288)  1 P 1.53
O (0.0462, 0.6199, 0.2248)  1 P 1.50
O (0.0511, 0.8093, 0.7299)  1 Si 1.59
O (0.1311, 0.0177, 0.6729)  1 Si 1.70
O (0.1307, 0.3479, 0.1701)  1 P 1.59
O (0.1448, 0.9564, 0.3913)  1 P 1.51
O (0.1467, 0.3782, 0.8958)  1 Si 1.59
O (0.1567, 0.9801, 0.9987)  1 Si 1.62
O (0.1624, 0.3579, 0.4958)  1 P 1.53
O (0.2010, 0.3345, 0.7763)  1 Si 1.71
O (0.2025, 0.9392, 0.2792)  1 P 1.59
O (0.2723, 0.5371, 0.4456)  1 P 1.60
O (0.2808, 0.6709, 0.9437)  1 Si 1.70
O (0.2866, 0.4855, 0.5581)  1 P 1.51
O (0.2923, 0.7170, 0.0630)  1 Si 1.59
O (0.2973, 0.4957, 0.1628)  1 P 1.53
O (0.3142, 0.6823, 0.6654)  1 Si 1.62
O (0.3345, 0.2010, 0.2763)  1 Si 1.71
O (0.3433, 0.9418, 0.7790)  1 P 1.60
O (0.3465, 0.6831, 0.3395)  1 P 1.59
O (0.3479, 0.1307, 0.6701)  1 P 1.59
O (0.3493, 0.4618, 0.8368)  1 Si 1.69
O (0.3543, 0.0059, 0.1701)  1 P 1.59
O (0.3579, 0.1624, 0.9958)  1 P 1.53
O (0.3609, 0.9634, 0.4961)  1 P 1.53
O (0.3782, 0.1467, 0.3958)  1 Si 1.59
O (0.3809, 0.9540, 0.8918)  1 P 1.51
O (0.4618, 0.3493, 0.3368)  1 Si 1.69
O (0.4699, 0.6803, 0.8373)  1 P 1.58
O (0.4800, 0.7126, 0.5575)  1 P 1.51
O (0.4855, 0.2866, 0.0581)  1 P 1.51
O (0.4957, 0.2973, 0.6628)  1 P 1.53
O (0.4974, 0.6914, 0.1624)  1 P 1.53
O (0.5317, 0.6751, 0.4450)  1 P 1.60
O (0.5371, 0.2723, 0.9456)  1 P 1.60
O (0.6080, 0.0076, 0.6122)  1 P 1.60
O (0.6142, 0.8624, 0.1112)  1 P 1.60
O (0.6199, 0.0462, 0.7248)  1 P 1.50
O (0.6269, 0.8134, 0.2240)  1 P 1.50
O (0.6310, 0.8329, 0.8293)  1 P 1.53
O (0.6431, 0.0114, 0.3327)  1 Si 1.62
O (0.6708, 0.0122, 0.0042)  1 P 1.59
O (0.6709, 0.2808, 0.4437)  1 Si 1.70
O (0.6751, 0.5317, 0.9450)  1 P 1.60
O (0.6758, 0.7896, 0.5054)  1 P 1.59
O (0.6803, 0.4699, 0.3373)  1 P 1.58
O (0.6823, 0.3142, 0.1654)  1 Si 1.62
O (0.6831, 0.3465, 0.8395)  1 P 1.59
O (0.6914, 0.4974, 0.6624)  1 P 1.53
O (0.7126, 0.4800, 0.0575)  1 P 1.51
O (0.7170, 0.2923, 0.5630)  1 Si 1.59
O (0.7896, 0.6758, 0.0054)  1 P 1.59
O (0.7948, 0.0060, 0.5039)  1 Si 1.69
O (0.8093, 0.0511, 0.2299)  1 Si 1.59
O (0.8134, 0.6269, 0.7240)  1 P 1.50
O (0.8166, 0.0343, 0.8288)  1 P 1.53
O (0.8329, 0.6310, 0.3293)  1 P 1.53
O (0.8624, 0.6142, 0.6112)  1 P 1.60
O (0.8697, 0.0049, 0.1107)  1 Si 1.70
O (0.9392, 0.2025, 0.7792)  1 P 1.59
O (0.9418, 0.3433, 0.2790)  1 P 1.60
O (0.9540, 0.3809, 0.3918)  1 P 1.51
O (0.9564, 0.1448, 0.8913)  1 P 1.51
O (0.9634, 0.3609, 0.9961)  1 P 1.53
O (0.9801, 0.1567, 0.4987)  1 Si 1.62

Properties
As for the final energy: -807.88 eV for the cell shown. The energy relative to the elements comes out at -55.958 eV per formula unit.



The lowest final energy belongs to which entry? Na4CaSiSnP2O12